1.
This record from the Materials Project database describes a relaxed NbO2F crystal. The functional is PBE-GGA.

Output
Total magnetization, μB/f.u.: 0.00
Energy of formation from the pure elements, eV per atom: -3.04
Space-group type: P2/c (13)
Crystal system: monoclinic

```
data_NbO2F
_chemical_formula_sum 'Nb4 O8 F4'
_symmetry_space_group_name_H-M 'P 1'
_symmetry_Int_Tables_number 1
_cell_length_a 5.5055
_cell_length_b 5.6250
_cell_length_c 7.6763
_cell_angle_alpha 88.34
_cell_angle_beta 90.00
_cell_angle_gamma 90.00
loop_
_symmetry_equiv_pos_as_xyz
'x,y,z'
loop_
_atom_site_label
_atom_site_type_symbol
_atom_site_fract_x
_atom_site_fract_y
_atom_site_fract_z
_atom_site_occupancy
O1 O 0.7804 0.2198 0.0299 1
F1 F 0.2948 0.7051 0.5497 1
O2 O 0.7804 0.7802 0.4701 1
Nb1 Nb 0.5000 0.0000 0.0000 1
O3 O 0.0680 0.5000 0.2500 1
Nb2 Nb 0.0000 0.5000 0.0000 1
O4 O 0.9320 0.5000 0.7500 1
O5 O 0.2196 0.7802 0.9701 1
O6 O 0.4321 0.0000 0.2500 1
F2 F 0.2948 0.2949 0.9503 1
O7 O 0.2196 0.2198 0.5299 1
Nb3 Nb 0.5000 0.0000 0.5000 1
O8 O 0.5679 0.0000 0.7500 1
F3 F 0.7052 0.7051 0.0497 1
Nb4 Nb 0.0000 0.5000 0.5000 1
F4 F 0.7052 0.2949 0.4503 1
```

=====

2.
This record from the Materials Project database describes a relaxed Bi2Pd3S2 crystal. The functional is PBE-GGA.

Output
Total magnetization, μB/f.u.: 0.00
ΔE to the lowest computed polymorph, kJ per mole of atoms: 1.1
Energy of formation from the pure elements, eV per atom: -0.50
Space-group type: C2/m (12)
Crystal system: monoclinic

```
data_Bi2Pd3S2
_chemical_formula_sum 'Bi4 Pd6 S4'
_symmetry_space_group_name_H-M 'P 1'
_symmetry_Int_Tables_number 1
_cell_length_a 7.3320
_cell_length_b 7.3320
_cell_length_c 8.4282
_cell_angle_alpha 55.27
_cell_angle_beta 55.27
_cell_angle_gamma 70.41
loop_
_symmetry_equiv_pos_as_xyz
'x,y,z'
loop_
_atom_site_label
_atom_site_type_symbol
_atom_site_fract_x
_atom_site_fract_y
_atom_site_fract_z
_atom_site_occupancy
Bi1 Bi 0.7483 0.7483 0.2594 1
S1 S 0.6976 0.2555 0.8029 1
Pd1 Pd 0.9733 0.9733 0.8016 1
Pd2 Pd 0.2768 0.7232 0.5000 1
Pd3 Pd 0.7232 0.2768 0.5000 1
Bi2 Bi 0.2259 0.2259 0.2801 1
Pd4 Pd 0.0267 0.0267 0.1984 1
S2 S 0.2555 0.6976 0.8029 1
Pd5 Pd 0.5000 0.0000 0.5000 1
S3 S 0.7445 0.3024 0.1971 1
S4 S 0.3024 0.7445 0.1971 1
Bi3 Bi 0.7741 0.7741 0.7199 1
Bi4 Bi 0.2517 0.2517 0.7406 1
Pd6 Pd 0.0000 0.5000 0.5000 1
```

=====

3.
This record from the Materials Project database describes a relaxed Na34Cd6Ga92Cu7 crystal. The functional is PBE-GGA.

Output
Total magnetization, μB/f.u.: 0.00
Energy of formation from the pure elements, eV per atom: -0.13
Space-group type: R3m (160)
Crystal system: trigonal

```
data_Na34Cd6Ga92Cu7
_chemical_formula_sum 'Na34 Cd6 Ga92 Cu7'
_symmetry_space_group_name_H-M 'P 1'
_symmetry_Int_Tables_number 1
_cell_length_a 15.3964
_cell_length_b 15.3964
_cell_length_c 15.3964
_cell_angle_alpha 65.74
_cell_angle_beta 65.74
_cell_angle_gamma 65.74
loop_
_symmetry_equiv_pos_as_xyz
'x,y,z'
loop_
_atom_site_label
_atom_site_type_symbol
_atom_site_fract_x
_atom_site_fract_y
_atom_site_fract_z
_atom_site_occupancy
Ga1 Ga 0.5528 0.1678 0.8895 1
Ga2 Ga 0.4914 0.2268 0.4914 1
Na1 Na 0.7979 0.0024 0.3378 1
Ga3 Ga 0.6504 0.9939 0.8156 1
Ga4 Ga 0.7980 0.5027 0.7980 1
Ga5 Ga 0.9929 0.9929 0.6655 1
Na2 Na 0.6117 0.2447 0.6117 1
Ga6 Ga 0.0987 0.3756 0.5753 1
Ga7 Ga 0.7732 0.5073 0.5073 1
Ga8 Ga 0.8281 0.1067 0.4557 1
Ga9 Ga 0.4982 0.2019 0.2019 1
Ga10 Ga 0.1024 0.4952 0.1024 1
Na3 Na 0.7586 0.7586 0.7587 1
Na4 Na 0.2151 0.8786 0.2151 1
Na5 Na 0.0026 0.6090 0.6090 1
Ga11 Ga 0.9952 0.9952 0.8327 1
Ga12 Ga 0.9939 0.6504 0.8156 1
Ga13 Ga 0.3756 0.0987 0.5753 1
Ga14 Ga 0.2148 0.6753 0.3840 1
Ga15 Ga 0.6185 0.7842 0.3247 1
Na6 Na 0.3378 0.7979 0.0024 1
Ga16 Ga 0.1024 0.1024 0.4952 1
Ga17 Ga 0.6242 0.9026 0.4254 1
Ga18 Ga 0.5157 0.8940 0.8940 1
Ga19 Ga 0.6504 0.8156 0.9939 1
Ga20 Ga 0.1676 0.0035 0.0035 1
Cd1 Cd 0.1869 0.0002 0.3536 1
Cd2 Cd 0.3536 0.0002 0.1868 1
Ga21 Ga 0.8940 0.5157 0.8940 1
Ga22 Ga 0.0035 0.1676 0.0035 1
Ga23 Ga 0.8895 0.1678 0.5528 1
Ga24 Ga 0.2268 0.4914 0.4914 1
Ga25 Ga 0.8402 0.0998 0.0998 1
Na7 Na 0.3906 0.3906 0.9980 1
Ga26 Ga 0.8281 0.4557 0.1067 1
Ga27 Ga 0.0042 0.0042 0.3379 1
Na8 Na 0.2151 0.2151 0.8786 1
Ga28 Ga 0.7842 0.3247 0.6185 1
Na9 Na 0.9975 0.6626 0.2031 1
Na10 Na 0.8786 0.2151 0.2151 1
Ga29 Ga 0.8156 0.6504 0.9939 1
Ga30 Ga 0.1067 0.8281 0.4557 1
Ga31 Ga 0.2050 0.6792 0.2050 1
Na11 Na 0.2031 0.6626 0.9975 1
Ga32 Ga 0.1067 0.4557 0.8281 1
Ga33 Ga 0.6161 0.6161 0.7925 1
Ga34 Ga 0.6185 0.3247 0.7842 1
Ga35 Ga 0.7842 0.6185 0.3247 1
Ga36 Ga 0.0998 0.0998 0.8402 1
Ga37 Ga 0.6792 0.2050 0.2050 1
Na12 Na 0.1200 0.7844 0.7844 1
Ga38 Ga 0.2089 0.3819 0.3819 1
Na13 Na 0.6090 0.6090 0.0026 1
Cu1 Cu 0.4482 0.6084 0.6084 1
Ga39 Ga 0.5073 0.5073 0.7732 1
Na14 Na 0.7844 0.7844 0.1200 1
Ga40 Ga 0.5753 0.0987 0.3756 1
Cu2 Cu 0.4999 0.4999 0.4998 1
Ga41 Ga 0.9026 0.4254 0.6242 1
Ga42 Ga 0.4254 0.9026 0.6242 1
Ga43 Ga 0.5027 0.7980 0.7980 1
Na15 Na 0.6118 0.6118 0.2447 1
Na16 Na 0.1388 0.1388 0.1388 1
Na17 Na 0.0024 0.7979 0.3378 1
Ga44 Ga 0.9026 0.6242 0.4254 1
Ga45 Ga 0.2050 0.2050 0.6791 1
Na18 Na 0.7844 0.1200 0.7844 1
Na19 Na 0.0024 0.3378 0.7979 1
Ga46 Ga 0.8940 0.8940 0.5157 1
Na20 Na 0.3875 0.3875 0.7577 1
Ga47 Ga 0.6753 0.2148 0.3840 1
Na21 Na 0.7979 0.3378 0.0024 1
Cu3 Cu 0.6084 0.6084 0.4482 1
Ga48 Ga 0.8986 0.8986 0.1578 1
Ga49 Ga 0.3247 0.6185 0.7842 1
Ga50 Ga 0.2019 0.4982 0.2019 1
Na22 Na 0.2447 0.6117 0.6117 1
Na23 Na 0.3906 0.9980 0.3906 1
Na24 Na 0.9975 0.2031 0.6626 1
Ga51 Ga 0.3819 0.3819 0.2089 1
Ga52 Ga 0.1678 0.5528 0.8895 1
Ga53 Ga 0.7925 0.6161 0.6161 1
Ga54 Ga 0.4952 0.1024 0.1024 1
Ga55 Ga 0.4557 0.1067 0.8281 1
Cd3 Cd 0.3536 0.1868 0.0002 1
Ga56 Ga 0.6655 0.9929 0.9929 1
Ga57 Ga 0.5753 0.3756 0.0987 1
Ga58 Ga 0.6161 0.7925 0.6161 1
Ga59 Ga 0.6157 0.6157 0.6157 1
Cu4 Cu 0.6084 0.4482 0.6084 1
Ga60 Ga 0.7980 0.7980 0.5027 1
Na25 Na 0.8601 0.8601 0.8601 1
Ga61 Ga 0.3247 0.7842 0.6185 1
Ga62 Ga 0.8986 0.1578 0.8986 1
Na26 Na 0.9980 0.3906 0.3906 1
Ga63 Ga 0.0042 0.3379 0.0042 1
Ga64 Ga 0.3223 0.7962 0.7962 1
Na27 Na 0.3378 0.0024 0.7979 1
Ga65 Ga 0.3819 0.2089 0.3819 1
Ga66 Ga 0.8156 0.9939 0.6504 1
Ga67 Ga 0.4557 0.8281 0.1067 1
Ga68 Ga 0.0035 0.0035 0.1676 1
Ga69 Ga 0.1578 0.8986 0.8986 1
Cd4 Cd 0.0002 0.1869 0.3536 1
Ga70 Ga 0.2149 0.3840 0.6753 1
Ga71 Ga 0.0987 0.5753 0.3756 1
Na28 Na 0.6626 0.2031 0.9975 1
Ga72 Ga 0.8895 0.5528 0.1678 1
Ga73 Ga 0.3840 0.2149 0.6753 1
Na29 Na 0.7577 0.3875 0.3875 1
Ga74 Ga 0.3836 0.3836 0.3836 1
Cd5 Cd 0.1868 0.3536 0.0002 1
Ga75 Ga 0.1678 0.8895 0.5528 1
Ga76 Ga 0.8327 0.9952 0.9952 1
Ga77 Ga 0.4914 0.4914 0.2268 1
Na30 Na 0.2031 0.9975 0.6626 1
Cu5 Cu 0.5507 0.3917 0.3917 1
Ga78 Ga 0.3379 0.0042 0.0042 1
Na31 Na 0.6626 0.9975 0.2031 1
Ga79 Ga 0.0998 0.8402 0.0998 1
Ga80 Ga 0.2019 0.2019 0.4982 1
Ga81 Ga 0.4254 0.6242 0.9026 1
Ga82 Ga 0.3840 0.6753 0.2148 1
Ga83 Ga 0.9929 0.6655 0.9929 1
Cd6 Cd 0.0002 0.3536 0.1868 1
Ga84 Ga 0.7962 0.3223 0.7962 1
Ga85 Ga 0.5528 0.8895 0.1678 1
Cu6 Cu 0.3917 0.5507 0.3917 1
Cu7 Cu 0.3916 0.3916 0.5511 1
Ga86 Ga 0.9952 0.8327 0.9952 1
Ga87 Ga 0.7962 0.7962 0.3223 1
Ga88 Ga 0.9939 0.8156 0.6504 1
Ga89 Ga 0.6242 0.4254 0.9026 1
Ga90 Ga 0.3756 0.5753 0.0987 1
Na32 Na 0.6090 0.0026 0.6090 1
Ga91 Ga 0.6753 0.3840 0.2148 1
Na33 Na 0.2413 0.2413 0.2412 1
Ga92 Ga 0.5073 0.7732 0.5073 1
Na34 Na 0.3875 0.7577 0.3875 1
```

=====

4.
This record from the Materials Project database describes a relaxed SiO2 crystal. The functional is PBE-GGA.

Output
Energy of formation from the pure elements, eV per atom: -3.26
Space-group type: R-3 (148)
Crystal system: trigonal

```
data_SiO2
_chemical_formula_sum 'Si6 O12'
_symmetry_space_group_name_H-M 'P 1'
_symmetry_Int_Tables_number 1
_cell_length_a 7.6533
_cell_length_b 7.6533
_cell_length_c 7.6533
_cell_angle_alpha 110.71
_cell_angle_beta 110.71
_cell_angle_gamma 110.71
loop_
_symmetry_equiv_pos_as_xyz
'x,y,z'
loop_
_atom_site_label
_atom_site_type_symbol
_atom_site_fract_x
_atom_site_fract_y
_atom_site_fract_z
_atom_site_occupancy
O1 O 0.8351 0.1571 0.1968 1
O2 O 0.9706 0.5370 0.2235 1
O3 O 0.8032 0.1649 0.8429 1
Si1 Si 0.2145 0.7297 0.9431 1
O4 O 0.0294 0.4630 0.7765 1
O5 O 0.1649 0.8429 0.8032 1
O6 O 0.5370 0.2235 0.9706 1
Si2 Si 0.9431 0.2145 0.7297 1
O7 O 0.7765 0.0294 0.4630 1
Si3 Si 0.0569 0.7855 0.2703 1
Si4 Si 0.7297 0.9431 0.2145 1
Si5 Si 0.7855 0.2703 0.0569 1
Si6 Si 0.2703 0.0569 0.7855 1
O8 O 0.1571 0.1968 0.8351 1
O9 O 0.8429 0.8032 0.1649 1
O10 O 0.1968 0.8351 0.1571 1
O11 O 0.4630 0.7765 0.0294 1
O12 O 0.2235 0.9706 0.5370 1
```

=====

5.
This record from the Materials Project database describes a relaxed MgNb4I4O8 crystal. The functional is PBE-GGA.

Output
Total magnetization, μB/f.u.: 1.33
ΔE to the lowest computed polymorph, kJ per mole of atoms: 3.7
Energy of formation from the pure elements, eV per atom: -2.13
Space-group type: Pm (6)
Crystal system: monoclinic

```
data_MgNb4I4O8
_chemical_formula_sum 'Mg1 Nb4 I4 O8'
_symmetry_space_group_name_H-M 'P 1'
_symmetry_Int_Tables_number 1
_cell_length_a 3.9698
_cell_length_b 3.8374
_cell_length_c 24.9644
_cell_angle_alpha 90.07
_cell_angle_beta 90.00
_cell_angle_gamma 90.00
loop_
_symmetry_equiv_pos_as_xyz
'x,y,z'
loop_
_atom_site_label
_atom_site_type_symbol
_atom_site_fract_x
_atom_site_fract_y
_atom_site_fract_z
_atom_site_occupancy
O1 O 0.7500 0.0006 0.0647 1
Mg1 Mg 0.2500 0.9996 0.2485 1
O2 O 0.2500 0.9994 0.9277 1
Nb1 Nb 0.2500 0.9978 0.4603 1
Nb2 Nb 0.7500 0.5011 0.0408 1
I1 I 0.7500 0.4999 0.8420 1
O3 O 0.7500 0.4980 0.5732 1
I2 I 0.2500 0.4998 0.1718 1
Nb3 Nb 0.2500 0.4991 0.9327 1
O4 O 0.2500 0.4999 0.0178 1
Nb4 Nb 0.7500 0.9978 0.5683 1
O5 O 0.7500 0.5001 0.9618 1
I3 I 0.2500 0.9997 0.6589 1
O6 O 0.2500 0.9978 0.5393 1
O7 O 0.7500 0.9976 0.4832 1
O8 O 0.2500 0.4976 0.4360 1
I4 I 0.7500 0.0140 0.3228 1
```

=====

6.
This record from the Materials Project database describes a relaxed Ce3Al crystal. The functional is PBE-GGA.

Output
Total magnetization, μB/f.u.: 1.76
ΔE to the lowest computed polymorph, kJ per mole of atoms: 0.1
Energy of formation from the pure elements, eV per atom: -0.16
Space-group type: P2_1/m (11)
Crystal system: monoclinic

```
data_Ce3Al
_chemical_formula_sum 'Ce12 Al4'
_symmetry_space_group_name_H-M 'P 1'
_symmetry_Int_Tables_number 1
_cell_length_a 5.2052
_cell_length_b 6.6788
_cell_length_c 11.8567
_cell_angle_alpha 89.00
_cell_angle_beta 90.00
_cell_angle_gamma 90.00
loop_
_symmetry_equiv_pos_as_xyz
'x,y,z'
loop_
_atom_site_label
_atom_site_type_symbol
_atom_site_fract_x
_atom_site_fract_y
_atom_site_fract_z
_atom_site_occupancy
Al1 Al 0.7500 0.9962 0.3392 1
Ce1 Ce 0.7500 0.2757 0.0714 1
Al2 Al 0.2500 0.0038 0.6608 1
Ce2 Ce 0.2500 0.2843 0.9269 1
Al3 Al 0.2500 0.4880 0.1695 1
Ce3 Ce 0.2500 0.4936 0.6736 1
Ce4 Ce 0.2500 0.2211 0.4023 1
Ce5 Ce 0.2500 0.7429 0.3944 1
Ce6 Ce 0.2500 0.7243 0.9286 1
Ce7 Ce 0.7500 0.7157 0.0731 1
Ce8 Ce 0.7500 0.2571 0.6056 1
Ce9 Ce 0.7500 0.5064 0.3264 1
Ce10 Ce 0.2500 0.9899 0.1996 1
Ce11 Ce 0.7500 0.7789 0.5977 1
Ce12 Ce 0.7500 0.0101 0.8004 1
Al4 Al 0.7500 0.5120 0.8305 1
```

=====

What is the formula in the third record?
Na34Cd6Ga92Cu7